NbCr3Cu2S8 | GGA-PBE | optimized geometry

a = 3.4501 Å, b = 11.0737 Å, c = 12.5768 Å
α = 90.00°, β = 90.00°, γ = 90.00°
Last column: nearest neighbours and their distance in Å.
Element x y z (fractional)
S: 0.5000 0.9426 0.1684  2 Cu 2.38, 3 Cr 2.41-2.55
S: 0.0000 0.0574 0.6684  2 Cu 2.38, 3 Cr 2.41-2.55
S: 0.5000 0.6531 0.0749  2 Cr 2.44, 2 Cu 2.44, 1 Nb 2.48
S: 0.0000 0.6352 0.5503  3 Cr 2.39-2.45
S: 0.5000 0.4439 0.3466  2 Nb 2.46, 1 Cr 2.52
S: 0.0000 0.1893 0.2163  1 Cu 2.37, 1 Nb 2.39, 2 Cr 2.40
S: 0.0000 0.5561 0.8466  2 Nb 2.46, 1 Cr 2.52
S: 0.0000 0.3469 0.5749  2 Cr 2.44, 2 Cu 2.44, 1 Nb 2.48
S: 0.5000 0.8651 0.4598  3 Cr 2.36-2.37
S: 0.0000 0.1349 0.9598  3 Cr 2.36-2.37
S: 0.5000 0.1449 0.4458  1 Cr 2.38, 2 Nb 2.50
S: 0.0000 0.6813 0.2884  3 Cr 2.35-2.39, 1 Cu 2.54
S: 0.5000 0.8107 0.7163  1 Cu 2.37, 1 Nb 2.39, 2 Cr 2.40
S: 0.5000 0.3648 0.0503  3 Cr 2.39-2.45
S: 0.5000 0.3187 0.7884  3 Cr 2.35-2.39, 1 Cu 2.54
S: 0.0000 0.8551 0.9458  1 Cr 2.38, 2 Nb 2.50
Cr: 0.0000 0.8466 0.5876  6 S 2.37-2.55
Cr: 0.5000 0.2029 0.6280  6 S 2.38-2.44
Cr: 0.5000 0.6587 0.4136  6 S 2.35-2.52
Cr: 0.0000 0.7971 0.1280  6 S 2.38-2.44
Cr: 0.0000 0.3413 0.9136  6 S 2.35-2.52
Cr: 0.5000 0.1534 0.0876  6 S 2.37-2.55
Cu: 0.5000 0.0076 0.7907  3 S 2.37-2.38
Cu: 0.5000 0.4811 0.6457  5 S 2.44-2.71
Cu: 0.0000 0.5189 0.1457  5 S 2.44-2.71
Cu: 0.0000 0.9924 0.2907  3 S 2.37-2.38
Nb: 0.5000 0.7084 0.8837  6 S 2.39-2.50
Nb: 0.0000 0.2916 0.3837  6 S 2.39-2.50

Summary:
As for the space group: No. 31. For the density, the calculation gives 4.4 g cm⁻³. Its magnetic moment is 0.643 μB per atom. The formation enthalpy at 0 K comes out at -0.780 eV per atom. The value obtained for the total energy after the MP2020 corrections is -6.520 eV per atom.



NbCr3Cu2S8 | GGA-PBE | optimized geometry

a = 3.4078 Å, b = 11.1032 Å, c = 12.4259 Å
α = 90.00°, β = 90.00°, γ = 90.00°
Last column: nearest neighbours and their distance in Å.
Element x y z (fractional)
S: 0.5000 0.6982 0.4110  2 Cr 2.37
S: 0.0000 0.5904 0.1780  3 Cr 2.35-2.46, 2 Cu 2.59
S: 0.0000 0.7970 0.9077  3 Cr 2.38-2.55
S: 0.5000 0.1313 0.3003  1 Nb 2.39, 2 Cr 2.44
S: 0.5000 0.5580 0.9615  1 Cu 2.31, 3 Cr 2.34-2.47
S: 0.0000 0.9421 0.4661  1 Cu 2.38, 1 Cr 2.47, 2 Nb 2.47
S: 0.5000 0.6313 0.6997  1 Nb 2.39, 2 Cr 2.44
S: 0.0000 0.8705 0.1837  1 Cr 2.37, 2 Nb 2.49
S: 0.5000 0.1982 0.5890  2 Cr 2.37
S: 0.0000 0.0904 0.8220  3 Cr 2.35-2.46, 2 Cu 2.59
S: 0.5000 0.4097 0.3179  3 Cr 2.35-2.45, 2 Cu 2.50
S: 0.5000 0.0580 0.0385  1 Cu 2.31, 3 Cr 2.34-2.47
S: 0.0000 0.4421 0.5339  1 Cu 2.38, 1 Cr 2.47, 2 Nb 2.47
S: 0.0000 0.2970 0.0923  3 Cr 2.38-2.55
S: 0.5000 0.9097 0.6821  3 Cr 2.35-2.45, 2 Cu 2.50
S: 0.0000 0.3705 0.8163  1 Cr 2.37, 2 Nb 2.49
Cr: 0.0000 0.0591 0.6350  6 S 2.35-2.47
Cr: 0.0000 0.5591 0.3650  6 S 2.35-2.47
Cr: 0.5000 0.4400 0.1303  6 S 2.35-2.47
Cr: 0.0000 0.0831 0.1660  6 S 2.34-2.55
Cr: 0.5000 0.9400 0.8697  6 S 2.35-2.47
Cr: 0.0000 0.5831 0.8340  6 S 2.34-2.55
Cu: 0.5000 0.2226 0.9248  3 S 2.31-2.59
Cu: 0.0000 0.2804 0.4084  3 S 2.38-2.50
Cu: 0.5000 0.7226 0.0752  3 S 2.31-2.59
Cu: 0.0000 0.7804 0.5916  3 S 2.38-2.50
Nb: 0.5000 0.9177 0.3234  6 S 2.39-2.67
Nb: 0.5000 0.4177 0.6766  6 S 2.39-2.67

Summary:
As for the space group: No. 26. For the density, the calculation gives 4.5 g cm⁻³. Its magnetic moment is 0.574 μB per atom. The formation enthalpy at 0 K comes out at -0.775 eV per atom. The value obtained for the total energy after the MP2020 corrections is -6.515 eV per atom.



NbCr3Cu2S8 | GGA-PBE | optimized geometry

a = 6.9608 Å, b = 5.9262 Å, c = 5.8504 Å
α = 92.80°, β = 90.00°, γ = 90.00°
Last column: nearest neighbours and their distance in Å.
Element x y z (fractional)
S: 0.2434 0.1798 0.7459  2 Cr 2.43-2.44, 1 Nb 2.50, 2 Cu 2.52-2.59
S: 0.5000 0.3319 0.2601  2 Cr 2.42, 1 Cu 2.43, 1 Nb 2.47
S: 0.2434 0.8202 0.2541  2 Cr 2.43-2.44, 1 Nb 2.50, 2 Cu 2.52-2.59
S: 0.0000 0.6767 0.7197  3 Cr 2.36-2.38, 1 Cu 2.46
S: 0.5000 0.6681 0.7399  2 Cr 2.42, 1 Cu 2.43, 1 Nb 2.47
S: 0.0000 0.3233 0.2803  3 Cr 2.36-2.38, 1 Cu 2.46
S: 0.7566 0.8202 0.2541  2 Cr 2.43-2.44, 1 Nb 2.50, 2 Cu 2.52-2.59
S: 0.7566 0.1798 0.7459  2 Cr 2.43-2.44, 1 Nb 2.50, 2 Cu 2.52-2.59
Cu: 0.5000 0.0000 0.0000  6 S 2.43-2.59
Cu: 0.0000 0.0000 0.0000  6 S 2.46-2.52
Cr: 0.2501 0.5000 0.5000  6 S 2.38-2.44
Cr: 0.7499 0.5000 0.5000  6 S 2.38-2.44
Cr: 0.0000 0.0000 0.5000  6 S 2.36-2.43
Nb: 0.5000 0.0000 0.5000  6 S 2.47-2.50

Summary:
As for the space group: No. 10. For the density, the calculation gives 4.4 g cm⁻³. Its magnetic moment is 0.643 μB per atom. The formation enthalpy at 0 K comes out at -0.880 eV per atom. The value obtained for the total energy after the MP2020 corrections is -6.620 eV per atom.



NbCr3Cu2S8 | GGA-PBE | optimized geometry

a = 6.2991 Å, b = 7.2908 Å, c = 12.4158 Å
α = 82.38°, β = 85.52°, γ = 90.25°
Last column: nearest neighbours and their distance in Å.
Element x y z (fractional)
S: 0.6888 0.0303 0.3680  2 Cr 2.24, 1 Cu 2.30
S: 0.3141 0.9762 0.6300  1 Cu 2.30, 1 Nb 2.31, 1 Cr 2.32
S: 0.3846 0.6088 0.1045  2 Cr 2.24-2.43, 2 Cu 2.43-2.46
S: 0.2079 0.7856 0.3574  2 Cr 2.24-2.25, 1 Cu 2.26
S: 0.7985 0.2192 0.6270  2 Cr 2.24-2.26, 1 Cu 2.26
S: 0.1013 0.6571 0.8940  1 Nb 2.34, 1 Cr 2.47, 2 Cu 2.54-2.59
S: 0.5829 0.9065 0.8983  2 Cr 2.32-2.43, 1 Cu 2.53, 1 Nb 2.55
S: 0.8061 0.7148 0.6312  2 Cr 2.33-2.35, 1 Nb 2.37
S: 0.1164 0.1503 0.8901  2 Cu 2.31-2.45, 1 Nb 2.36, 1 Cr 2.42
S: 0.6822 0.5354 0.3631  2 Cr 2.24, 1 Cu 2.27
S: 0.8844 0.3529 0.1133  1 Cr 2.24, 1 Nb 2.45, 1 Cu 2.47
S: 0.4042 0.0987 0.1075  2 Cr 2.27-2.43, 1 Cu 2.48
S: 0.9018 0.8396 0.1110  2 Cu 2.31-2.45, 1 Nb 2.38, 1 Cr 2.42
S: 0.3168 0.4558 0.6335  1 Cu 2.29, 1 Cr 2.30, 1 Nb 2.34
S: 0.6078 0.3931 0.8958  1 Cr 2.26, 2 Cu 2.47-2.50
S: 0.1808 0.2866 0.3582  3 Cr 2.30
Cr: 0.3711 0.5504 0.2867  4 S 2.24-2.30
Cr: 0.2401 0.8831 0.0042  6 S 2.42-2.47
Cr: 0.8471 0.2990 0.2958  4 S 2.24-2.30
Cr: 0.6354 0.9557 0.7098  4 S 2.26-2.35
Cr: 0.3769 0.0546 0.2926  4 S 2.24-2.30
Cr: 0.6371 0.4396 0.7119  4 S 2.24-2.33
Nb: 0.1430 0.7018 0.7036  4 S 2.31-2.37
Nb: 0.7951 0.1126 0.0027  5 S 2.36-2.62
Cu: 0.1140 0.1995 0.7029  4 S 2.26-2.31
Cu: 0.2512 0.3721 0.0015  6 S 2.45-2.59
Cu: 0.8754 0.7957 0.2996  4 S 2.26-2.31
Cu: 0.7347 0.6248 0.0057  6 S 2.43-2.59

Summary:
As for the space group: No. 1. For the density, the calculation gives 3.7 g cm⁻³. Its magnetic moment is 0.643 μB per atom. The formation enthalpy at 0 K comes out at -0.752 eV per atom. The value obtained for the total energy after the MP2020 corrections is -6.491 eV per atom.



NbCr3Cu2S8 | GGA-PBE | optimized geometry

a = 5.7219 Å, b = 7.0818 Å, c = 12.0832 Å
α = 90.00°, β = 90.00°, γ = 90.00°
Last column: nearest neighbours and their distance in Å.
Element x y z (fractional)
Nb: 0.7728 0.5000 0.7558  6 S 2.40-2.57
Nb: 0.2272 0.5000 0.2558  6 S 2.40-2.57
S: 0.9496 0.0000 0.4107  1 Cu 2.22, 3 Cr 2.36-2.38
S: 0.9878 0.7643 0.6685  1 Cu 2.24, 2 Cr 2.46-2.48, 1 Nb 2.48
S: 0.5173 0.7460 0.3311  1 Cu 2.28, 2 Cr 2.42
S: 0.4914 0.0000 0.0794  1 Cu 2.27, 3 Cr 2.41
S: 0.0131 0.5000 0.9189  1 Cu 2.38, 1 Nb 2.40, 2 Cr 2.47
S: 0.4666 0.5000 0.0818  1 Cu 2.23, 2 Cr 2.38
S: 0.5334 0.5000 0.5818  1 Cu 2.23, 2 Cr 2.38
S: 0.4827 0.2540 0.8311  1 Cu 2.28, 2 Cr 2.42
S: 0.4827 0.7460 0.8311  1 Cu 2.28, 2 Cr 2.42
S: 0.9869 0.5000 0.4189  1 Cu 2.38, 1 Nb 2.40, 2 Cr 2.47
S: 0.0122 0.7643 0.1685  1 Cu 2.24, 2 Cr 2.46-2.48, 1 Nb 2.48
S: 0.0504 0.0000 0.9107  1 Cu 2.22, 3 Cr 2.36-2.38
S: 0.5086 0.0000 0.5794  1 Cu 2.27, 3 Cr 2.41
S: 0.0122 0.2357 0.1685  1 Cu 2.24, 2 Cr 2.46-2.48, 1 Nb 2.48
S: 0.9878 0.2357 0.6685  1 Cu 2.24, 2 Cr 2.46-2.48, 1 Nb 2.48
S: 0.5173 0.2540 0.3311  1 Cu 2.28, 2 Cr 2.42
Cr: 0.2547 0.7535 0.0001  6 S 2.36-2.47
Cr: 0.2547 0.2465 0.0001  6 S 2.36-2.47
Cr: 0.7323 0.0000 0.2431  6 S 2.38-2.48
Cr: 0.7453 0.7535 0.5001  6 S 2.36-2.47
Cr: 0.7453 0.2465 0.5001  6 S 2.36-2.47
Cr: 0.2677 0.0000 0.7431  6 S 2.38-2.48
Cu: 0.8535 0.5000 0.1007  4 S 2.23-2.38
Cu: 0.6626 0.0000 0.9103  4 S 2.22-2.28
Cu: 0.1465 0.5000 0.6007  4 S 2.23-2.38
Cu: 0.3374 0.0000 0.4103  4 S 2.22-2.28

Summary:
As for the space group: No. 26. For the density, the calculation gives 4.3 g cm⁻³. Its magnetic moment is 0.643 μB per atom. The formation enthalpy at 0 K comes out at -0.916 eV per atom. The value obtained for the total energy after the MP2020 corrections is -6.655 eV per atom.



NbCr3Cu2S8 | GGA-PBE | optimized geometry

a = 12.1144 Å, b = 5.7759 Å, c = 8.8895 Å
α = 50.53°, β = 90.00°, γ = 90.00°
Last column: nearest neighbours and their distance in Å.
Element x y z (fractional)
Cr: 0.7496 0.2209 0.2704  6 S 2.39-2.51
Cr: 0.0000 0.5000 0.0000  6 S 2.37-2.45
Cr: 0.2496 0.7791 0.2296  6 S 2.39-2.51
Cr: 0.5000 0.5000 0.5000  6 S 2.37-2.45
Cr: 0.7504 0.2209 0.7704  6 S 2.39-2.51
Cr: 0.2504 0.7791 0.7296  6 S 2.39-2.51
Nb: 0.5000 0.0000 0.0000  6 S 2.44-2.51
Nb: 0.0000 0.0000 0.5000  6 S 2.44-2.51
Cu: 0.0841 0.1509 0.7393  4 S 2.22-2.28
Cu: 0.5841 0.8491 0.7607  4 S 2.22-2.28
Cu: 0.4159 0.1509 0.2393  4 S 2.22-2.28
Cu: 0.9159 0.8491 0.2607  4 S 2.22-2.28
S: 0.0878 0.0108 0.2396  1 Cu 2.24, 2 Cr 2.41-2.45
S: 0.1703 0.7280 0.9970  1 Cu 2.28, 3 Cr 2.41-2.46
S: 0.9118 0.4796 0.2461  1 Cu 2.22, 2 Cr 2.37-2.39, 1 Nb 2.44
S: 0.0882 0.5204 0.7539  1 Cu 2.22, 2 Cr 2.37-2.39, 1 Nb 2.44
S: 0.6717 0.7374 0.0211  1 Cu 2.24, 1 Cr 2.40
S: 0.3297 0.7280 0.4970  1 Cu 2.28, 3 Cr 2.41-2.46
S: 0.8283 0.7374 0.5211  1 Cu 2.24, 1 Cr 2.40
S: 0.1717 0.2626 0.4789  1 Cu 2.24, 1 Cr 2.40
S: 0.4122 0.0108 0.7396  1 Cu 2.24, 2 Cr 2.41-2.45
S: 0.9122 0.9892 0.7604  1 Cu 2.24, 2 Cr 2.41-2.45
S: 0.6703 0.2720 0.5030  1 Cu 2.28, 3 Cr 2.41-2.46
S: 0.4118 0.5204 0.2539  1 Cu 2.22, 2 Cr 2.37-2.39, 1 Nb 2.44
S: 0.8297 0.2720 0.0030  1 Cu 2.28, 3 Cr 2.41-2.46
S: 0.3283 0.2626 0.9789  1 Cu 2.24, 1 Cr 2.40
S: 0.5878 0.9892 0.2604  1 Cu 2.24, 2 Cr 2.41-2.45
S: 0.5882 0.4796 0.7461  1 Cu 2.22, 2 Cr 2.37-2.39, 1 Nb 2.44

Summary:
As for the space group: No. 14. For the density, the calculation gives 4.4 g cm⁻³. Its magnetic moment is 0.603 μB per atom. The formation enthalpy at 0 K comes out at -0.889 eV per atom. The value obtained for the total energy after the MP2020 corrections is -6.628 eV per atom.



Number 1: energy above the lowest structure with this stoichiometry 196 meV per atom. Number 2: energy above the lowest structure with this stoichiometry 201 meV per atom. Number 3: energy above the lowest structure with this stoichiometry 96 meV per atom. Number 4: energy above the lowest structure with this stoichiometry 224 meV per atom. Number 5: energy above the lowest structure with this stoichiometry 60 meV per atom. Number 6: energy above the lowest structure with this stoichiometry 87 meV per atom.